# 1
This record from the Materials Project database describes crystalline K3TiO4F3 at its relaxed geometry. The functional is PBE.

```
K3TiO4F3
1.0
-6.060 -1.424 -1.264
2.360 -5.857 -0.697
-1.437 -1.616 8.712
O K F Ti
8 6 6 2
direct
0.278 0.565 0.750 O
0.948 0.530 0.250 O
0.565 0.278 0.750 O
0.052 0.470 0.750 O
0.530 0.948 0.250 O
0.435 0.722 0.250 O
0.470 0.052 0.750 O
0.722 0.435 0.250 O
0.798 0.202 0.500 K
0.202 0.798 0.000 K
0.702 0.702 0.750 K
0.298 0.298 0.250 K
0.798 0.202 0.000 K
0.202 0.798 0.500 K
0.238 0.238 0.968 F
0.980 0.980 0.250 F
0.762 0.762 0.032 F
0.020 0.020 0.750 F
0.238 0.238 0.532 F
0.762 0.762 0.468 F
0.741 0.741 0.250 Ti
0.259 0.259 0.750 Ti
```

Computed properties:
**Total magnetization**: 0.000 μB/f.u.
**E_form**: -2.44 eV/atom

# 2
This record from the Materials Project database describes crystalline MgTi4Cd2O10 at its relaxed geometry. The functional is PBE.

```
MgTi4Cd2O10
1.0
1.733 5.615 0.000
-1.733 5.615 0.000
0.000 0.000 11.492
O Cd Mg Ti
10 2 1 4
direct
0.836 0.836 0.250 O
0.330 0.330 0.432 O
0.330 0.330 0.068 O
0.955 0.955 0.577 O
0.675 0.675 0.564 O
0.061 0.061 0.387 O
0.675 0.675 0.936 O
0.061 0.061 0.113 O
0.105 0.105 0.750 O
0.955 0.955 0.923 O
0.204 0.204 0.250 Cd
0.796 0.796 0.750 Cd
0.504 0.504 0.750 Mg
0.898 0.898 0.416 Ti
0.898 0.898 0.084 Ti
0.115 0.115 0.948 Ti
0.115 0.115 0.552 Ti
```

Computed properties:
**Total magnetization**: 0.034 μB/f.u.
**E above lowest polymorph**: 35.5 meV/atom
**E_form**: -2.78 eV/atom

# 3
This record from the Materials Project database describes crystalline ZrMo2 at its relaxed geometry. The functional is PBE.

```
ZrMo2
1.0
0.000 2.398 6.862
1.624 0.000 6.862
1.624 2.398 0.000
Mo Zr
2 1
direct
0.324 0.324 0.676 Mo
0.676 0.676 0.324 Mo
0.000 0.000 0.000 Zr
```

Computed properties:
**Total magnetization**: 0.015 μB/f.u.
**E above lowest polymorph**: 197.3 meV/atom
**E_form**: 0.06 eV/atom

# 4
This record from the Materials Project database describes crystalline BaH2O2 at its relaxed geometry. The functional is PBE.

```
BaH2O2
1.0
-2.843 7.689 0.699
-4.187 -1.037 -5.623
-9.698 -3.704 1.313
H O Ba
16 16 8
direct
0.303 0.178 0.429 H
0.104 0.653 0.717 H
0.809 0.771 0.802 H
0.697 0.822 0.571 H
0.191 0.229 0.198 H
0.176 0.559 0.376 H
0.676 0.441 0.124 H
0.396 0.653 0.217 H
0.324 0.559 0.876 H
0.197 0.178 0.929 H
0.896 0.347 0.283 H
0.604 0.347 0.783 H
0.803 0.822 0.071 H
0.309 0.229 0.698 H
0.691 0.771 0.302 H
0.824 0.441 0.624 H
0.140 0.258 0.104 O
0.282 0.708 0.820 O
0.169 0.106 0.873 O
0.360 0.258 0.604 O
0.640 0.742 0.396 O
0.782 0.292 0.680 O
0.860 0.742 0.896 O
0.541 0.311 0.873 O
0.218 0.708 0.320 O
0.718 0.292 0.180 O
0.669 0.894 0.627 O
0.459 0.689 0.127 O
0.959 0.311 0.373 O
0.041 0.689 0.627 O
0.331 0.106 0.373 O
0.831 0.894 0.127 O
0.037 0.072 0.654 Ba
0.620 0.325 0.426 Ba
0.880 0.325 0.926 Ba
0.380 0.675 0.574 Ba
0.120 0.675 0.074 Ba
0.537 0.928 0.846 Ba
0.963 0.928 0.346 Ba
0.463 0.072 0.154 Ba
```

Computed properties:
**Total magnetization**: 0.000 μB/f.u.
**E_form**: -2.01 eV/atom

# 5
This record from the Materials Project database describes crystalline Ca3Ru2N4 at its relaxed geometry. The functional is PBE.

```
Ca3Ru2N4
1.0
-2.624 -3.548 5.402
7.325 -1.479 -4.265
2.611 3.277 3.347
Ru Ca N
4 6 8
direct
0.423 0.830 0.412 Ru
0.577 0.170 0.588 Ru
0.423 0.594 0.912 Ru
0.577 0.406 0.088 Ru
0.769 0.744 0.459 Ca
0.231 0.975 0.041 Ca
0.231 0.256 0.541 Ca
0.769 0.025 0.959 Ca
0.000 0.401 0.250 Ca
0.000 0.599 0.750 Ca
0.225 0.937 0.524 N
0.775 0.712 0.976 N
0.225 0.288 0.024 N
0.688 0.265 0.931 N
0.312 0.735 0.069 N
0.775 0.063 0.476 N
0.312 0.577 0.569 N
0.688 0.423 0.431 N
```

Computed properties:
**Total magnetization**: 0.000 μB/f.u.
**E above lowest polymorph**: 24.4 meV/atom
**E_form**: -0.55 eV/atom

# 6
This record from the Materials Project database describes crystalline Li2Ce2Si3 at its relaxed geometry. The functional is PBE.

```
Li2Ce2Si3
1.0
2.202 -9.165 0.000
2.202 9.165 0.000
0.000 0.000 6.739
Li Ce Si
4 4 6
direct
0.189 0.811 0.060 Li
0.189 0.811 0.440 Li
0.811 0.189 0.560 Li
0.811 0.189 0.940 Li
0.551 0.449 0.250 Ce
0.344 0.656 0.250 Ce
0.656 0.344 0.750 Ce
0.449 0.551 0.750 Ce
0.720 0.280 0.250 Si
0.059 0.941 0.927 Si
0.280 0.720 0.750 Si
0.941 0.059 0.073 Si
0.059 0.941 0.573 Si
0.941 0.059 0.427 Si
```

Computed properties:
**E_form**: -0.53 eV/atom

# 7
This record from the Materials Project database describes crystalline KMg6CO8 at its relaxed geometry. The functional is PBE.

```
KMg6CO8
1.0
-7.716 -0.661 4.206
-1.900 -1.314 -3.692
0.904 -4.139 1.008
O Mg C K
8 6 1 1
direct
0.500 0.500 0.000 O
0.246 0.500 0.500 O
0.000 0.000 0.500 O
0.754 0.500 0.500 O
0.500 0.000 0.500 O
0.000 0.500 0.000 O
0.726 0.000 0.000 O
0.274 0.000 0.000 O
0.500 0.500 0.500 Mg
0.746 0.500 0.000 Mg
0.746 0.000 0.500 Mg
0.254 0.500 0.000 Mg
0.254 0.000 0.500 Mg
0.500 0.000 0.000 Mg
0.000 0.500 0.500 C
0.000 0.000 0.000 K
```

Computed properties:
**Total magnetization**: 0.968 μB/f.u.
**E above lowest polymorph**: 141.5 meV/atom
**E_form**: -1.96 eV/atom

# 8
This record from the Materials Project database describes crystalline BeFe3 at its relaxed geometry. The functional is PBE.

```
BeFe3
1.0
-2.007 0.964 1.008
-0.905 -1.702 -1.502
0.333 -4.887 5.340
Fe Be
3 1
direct
0.000 0.000 0.500 Fe
0.500 0.500 0.773 Fe
0.500 0.500 0.227 Fe
0.000 0.000 0.000 Be
```

Computed properties:
**E_form**: -0.06 eV/atom

Number 1: mass density 2.64 g cm⁻³. Number 2: mass density 4.46 g cm⁻³. Number 3: mass density 8.80 g cm⁻³. Number 4: mass density 4.31 g cm⁻³. Number 5: mass density 4.96 g cm⁻³. Number 6: mass density 4.62 g cm⁻³. Number 7: mass density 3.23 g cm⁻³. Number 8: mass density 6.95 g cm⁻³.